No. 1
A plane-wave DFT calculation with PBE was carried out for a relaxed Cs2HgAuF6 crystal.

Lattice parameters (Å, degrees): 6.543 6.543 6.543 60.00 60.00 60.00
Fractional coordinates of all 10 atoms:
Cs1 0.750 0.750 0.750
Cs2 0.250 0.250 0.250
Hg1 0.500 0.500 0.500
Au1 0.000 0.000 0.000
F1 0.753 0.247 0.247
F2 0.247 0.247 0.753
F3 0.247 0.753 0.753
F4 0.247 0.753 0.247
F5 0.753 0.247 0.753
F6 0.753 0.753 0.247

No. 2
A plane-wave DFT calculation with PBE was carried out for a relaxed Cs2InAuF6 crystal.

Lattice parameters (Å, degrees): 6.578 6.578 6.578 60.00 60.00 60.00
Fractional coordinates of all 10 atoms:
Cs1 0.750 0.750 0.750
Cs2 0.250 0.250 0.250
In1 0.000 0.000 0.000
Au1 0.500 0.500 0.500
F1 0.772 0.228 0.228
F2 0.228 0.228 0.772
F3 0.228 0.772 0.772
F4 0.228 0.772 0.228
F5 0.772 0.228 0.772
F6 0.772 0.772 0.228

No. 3
A plane-wave DFT calculation with PBE was carried out for a relaxed CsK2AuF6 crystal.

Lattice parameters (Å, degrees): 6.888 6.888 6.888 60.00 60.00 60.00
Fractional coordinates of all 10 atoms:
Cs1 0.500 0.500 0.500
K1 0.750 0.750 0.750
K2 0.250 0.250 0.250
Au1 0.000 0.000 0.000
F1 0.779 0.221 0.221
F2 0.221 0.221 0.779
F3 0.221 0.779 0.779
F4 0.221 0.779 0.221
F5 0.779 0.221 0.779
F6 0.779 0.779 0.221

No. 4
A plane-wave DFT calculation with PBE was carried out for a relaxed Cs2LiAuF6 crystal.

Lattice parameters (Å, degrees): 6.254 6.254 6.254 60.00 60.00 60.00
Fractional coordinates of all 10 atoms:
Cs1 0.750 0.750 0.750
Cs2 0.250 0.250 0.250
Li1 0.500 0.500 0.500
Au1 0.000 0.000 0.000
F1 0.753 0.247 0.247
F2 0.247 0.247 0.753
F3 0.247 0.753 0.753
F4 0.247 0.753 0.247
F5 0.753 0.247 0.753
F6 0.753 0.753 0.247

No. 5
A plane-wave DFT calculation with PBE was carried out for a relaxed Cs2NbAuF6 crystal.

Lattice parameters (Å, degrees): 7.112 7.112 7.112 60.00 60.00 60.00
Fractional coordinates of all 10 atoms:
Cs1 0.750 0.750 0.750
Cs2 0.250 0.250 0.250
Nb1 0.000 0.000 0.000
Au1 0.500 0.500 0.500
F1 0.807 0.193 0.193
F2 0.193 0.193 0.807
F3 0.193 0.807 0.807
F4 0.193 0.807 0.193
F5 0.807 0.193 0.807
F6 0.807 0.807 0.193

No. 6
A plane-wave DFT calculation with PBE was carried out for a relaxed Cs2RhAuF6 crystal.

Lattice parameters (Å, degrees): 6.396 6.396 6.396 60.00 60.00 60.00
Fractional coordinates of all 10 atoms:
Cs1 0.750 0.750 0.750
Cs2 0.250 0.250 0.250
Rh1 0.000 0.000 0.000
Au1 0.500 0.500 0.500
F1 0.773 0.227 0.227
F2 0.227 0.227 0.773
F3 0.227 0.773 0.773
F4 0.227 0.773 0.227
F5 0.773 0.227 0.773
F6 0.773 0.773 0.227

No. 7
A plane-wave DFT calculation with PBE was carried out for a relaxed Cs2SbAuF6 crystal.

Lattice parameters (Å, degrees): 6.722 6.722 6.722 60.00 60.00 60.00
Fractional coordinates of all 10 atoms:
Cs1 0.750 0.750 0.750
Cs2 0.250 0.250 0.250
Sb1 0.000 0.000 0.000
Au1 0.500 0.500 0.500
F1 0.769 0.231 0.231
F2 0.231 0.231 0.769
F3 0.231 0.769 0.769
F4 0.231 0.769 0.231
F5 0.769 0.231 0.769
F6 0.769 0.769 0.231

No. 8
A plane-wave DFT calculation with PBE was carried out for a relaxed Cs2ScAuF6 crystal.

Lattice parameters (Å, degrees): 6.504 6.504 6.504 60.00 60.00 60.00
Fractional coordinates of all 10 atoms:
Cs1 0.750 0.750 0.750
Cs2 0.250 0.250 0.250
Sc1 0.000 0.000 0.000
Au1 0.500 0.500 0.500
F1 0.778 0.222 0.222
F2 0.222 0.222 0.778
F3 0.222 0.778 0.778
F4 0.222 0.778 0.222
F5 0.778 0.222 0.778
F6 0.778 0.778 0.222

No. 9
A plane-wave DFT calculation with PBE was carried out for a relaxed Cs2TaAuF6 crystal.

Lattice parameters (Å, degrees): 7.384 7.384 7.384 60.00 60.00 60.00
Fractional coordinates of all 10 atoms:
Cs1 0.750 0.750 0.750
Cs2 0.250 0.250 0.250
Ta1 0.000 0.000 0.000
Au1 0.500 0.500 0.500
F1 0.816 0.184 0.184
F2 0.184 0.184 0.816
F3 0.184 0.816 0.816
F4 0.184 0.816 0.184
F5 0.816 0.184 0.816
F6 0.816 0.816 0.184

No. 10
A plane-wave DFT calculation with PBE was carried out for a relaxed CsGa2Au3 crystal.

Lattice parameters (Å, degrees): 5.991 7.160 13.526 90.00 90.00 90.00
Fractional coordinates of all 24 atoms:
Cs1 0.250 0.095 0.071
Cs2 0.250 0.405 0.571
Cs3 0.750 0.905 0.929
Cs4 0.750 0.595 0.429
Ga1 0.997 0.906 0.656
Ga2 0.503 0.594 0.156
Ga3 0.497 0.094 0.344
Ga4 0.003 0.406 0.844
Ga5 0.003 0.094 0.344
Ga6 0.497 0.406 0.844
Ga7 0.503 0.906 0.656
Ga8 0.997 0.594 0.156
Au1 0.250 0.124 0.783
Au2 0.250 0.376 0.283
Au3 0.750 0.876 0.217
Au4 0.750 0.624 0.717
Au5 0.250 0.711 0.791
Au6 0.250 0.789 0.291
Au7 0.750 0.289 0.209
Au8 0.750 0.211 0.709
Au9 0.250 0.578 0.996
Au10 0.250 0.922 0.496
Au11 0.750 0.422 0.004
Au12 0.750 0.078 0.504

No. 11
A plane-wave DFT calculation with PBE was carried out for a relaxed CsAuI4O12 crystal.

Lattice parameters (Å, degrees): 5.878 7.668 8.689 107.52 90.00 112.54
Fractional coordinates of all 18 atoms:
Cs1 0.041 0.000 0.000
Au1 0.236 0.000 0.500
I1 0.286 0.640 0.169
I2 0.646 0.360 0.831
I3 0.676 0.302 0.349
I4 0.374 0.698 0.651
O1 0.119 0.807 0.272
O2 0.312 0.193 0.728
O3 0.082 0.414 0.208
O4 0.668 0.586 0.792
O5 0.143 0.597 0.968
O6 0.546 0.403 0.032
O7 0.624 0.062 0.202
O8 0.562 0.938 0.798
O9 0.834 0.300 0.528
O10 0.535 0.700 0.472
O11 0.348 0.235 0.415
O12 0.113 0.765 0.585

Values from the calculation:
Energy relative to the lowest polymorph listed for this composition: 0.13 eV per formula unit

No. 12
A plane-wave DFT calculation with PBE was carried out for a relaxed CsAuI4O12 crystal.

Lattice parameters (Å, degrees): 7.982 8.116 11.221 75.44 71.31 84.54
Fractional coordinates of all 36 atoms:
Cs1 0.056 0.178 0.144
Cs2 0.944 0.822 0.856
Au1 0.572 0.047 0.213
Au2 0.428 0.953 0.787
I1 0.283 0.291 0.413
I2 0.717 0.709 0.587
I3 0.660 0.334 0.904
I4 0.340 0.666 0.096
I5 0.240 0.792 0.469
I6 0.760 0.208 0.531
I7 0.760 0.654 0.249
I8 0.240 0.346 0.751
O1 0.366 0.211 0.254
O2 0.634 0.789 0.746
O3 0.346 0.514 0.338
O4 0.654 0.486 0.662
O5 0.060 0.313 0.398
O6 0.940 0.687 0.602
O7 0.704 0.148 0.836
O8 0.296 0.852 0.164
O9 0.421 0.353 0.950
O10 0.579 0.647 0.050
O11 0.701 0.237 0.068
O12 0.299 0.763 0.932
O13 0.486 0.853 0.372
O14 0.514 0.147 0.628
O15 0.183 0.982 0.532
O16 0.817 0.018 0.468
O17 0.314 0.657 0.599
O18 0.686 0.343 0.401
O19 0.779 0.889 0.154
O20 0.221 0.111 0.846
O21 0.862 0.678 0.369
O22 0.138 0.322 0.631
O23 0.953 0.591 0.132
O24 0.047 0.409 0.868

Values from the calculation:
Energy relative to the lowest polymorph listed for this composition: 0.00 eV per formula unit

No. 13
A plane-wave DFT calculation with PBE was carried out for a relaxed Cs2SbAuI6 crystal.

Lattice parameters (Å, degrees): 8.528 8.528 8.528 60.00 60.00 60.00
Fractional coordinates of all 10 atoms:
Cs1 0.750 0.750 0.750
Cs2 0.250 0.250 0.250
Sb1 0.000 0.000 0.000
Au1 0.500 0.500 0.500
I1 0.747 0.253 0.253
I2 0.253 0.253 0.747
I3 0.253 0.747 0.747
I4 0.253 0.747 0.253
I5 0.747 0.253 0.747
I6 0.747 0.747 0.253

No. 14
A plane-wave DFT calculation with PBE was carried out for a relaxed Cs2ScAuI6 crystal.

Lattice parameters (Å, degrees): 8.427 8.427 8.427 60.00 60.00 60.00
Fractional coordinates of all 10 atoms:
Cs1 0.250 0.250 0.250
Cs2 0.750 0.750 0.750
Sc1 0.000 0.000 0.000
Au1 0.500 0.500 0.500
I1 0.755 0.755 0.245
I2 0.245 0.755 0.755
I3 0.245 0.245 0.755
I4 0.755 0.245 0.755
I5 0.245 0.755 0.245
I6 0.755 0.245 0.245

No. 15
A plane-wave DFT calculation with PBE was carried out for a relaxed Cs2TlAuI6 crystal.

Lattice parameters (Å, degrees): 8.584 8.584 8.584 60.00 60.00 60.00
Fractional coordinates of all 10 atoms:
Cs1 0.750 0.750 0.750
Cs2 0.250 0.250 0.250
Tl1 0.000 0.000 0.000
Au1 0.500 0.500 0.500
I1 0.739 0.261 0.261
I2 0.261 0.261 0.739
I3 0.261 0.739 0.739
I4 0.261 0.739 0.261
I5 0.739 0.261 0.739
I6 0.739 0.739 0.261

No. 16
A plane-wave DFT calculation with PBE was carried out for a relaxed Cs7LiAu5O2 crystal.

Lattice parameters (Å, degrees): 6.396 9.725 10.548 117.17 102.96 89.20
Fractional coordinates of all 15 atoms:
Cs1 0.722 0.581 0.613
Cs2 0.614 0.809 0.044
Cs3 0.840 0.048 0.663
Cs4 0.133 0.373 0.321
Cs5 0.206 0.939 0.336
Cs6 0.511 0.207 0.992
Cs7 0.033 0.489 0.996
Li1 0.180 0.699 0.820
Au1 0.627 0.635 0.282
Au2 0.285 0.807 0.652
Au3 0.035 0.985 0.980
Au4 0.328 0.411 0.717
Au5 0.675 0.174 0.361
O1 0.049 0.770 0.972
O2 0.014 0.197 0.990

Values from the calculation:
Energy relative to the lowest polymorph listed for this composition: 0.00 eV per formula unit

No. 17
A plane-wave DFT calculation with PBE was carried out for a relaxed Cs7LiAu5O2 crystal.

Lattice parameters (Å, degrees): 5.967 9.989 11.511 115.71 105.60 90.00
Fractional coordinates of all 15 atoms:
Cs1 0.853 0.604 0.720
Cs2 0.504 0.804 0.013
Cs3 0.853 0.116 0.720
Cs4 0.165 0.378 0.324
Cs5 0.165 0.947 0.324
Cs6 0.504 0.208 0.013
Cs7 0.013 0.516 0.032
Li1 0.784 0.738 0.476
Au1 0.612 0.613 0.227
Au2 0.263 0.780 0.561
Au3 0.004 0.006 0.012
Au4 0.380 0.383 0.767
Au5 0.687 0.186 0.372
O1 0.005 0.802 0.014
O2 0.005 0.212 0.014

Values from the calculation:
Energy relative to the lowest polymorph listed for this composition: 0.61 eV per formula unit

No. 18
A plane-wave DFT calculation with PBE was carried out for a relaxed Cs7LiAu5O2 crystal.

Lattice parameters (Å, degrees): 6.239 9.925 10.521 118.14 102.99 90.00
Fractional coordinates of all 15 atoms:
Cs1 0.803 0.592 0.670
Cs2 0.541 0.789 0.037
Cs3 0.803 0.078 0.670
Cs4 0.165 0.379 0.342
Cs5 0.165 0.962 0.342
Cs6 0.541 0.249 0.037
Cs7 0.048 0.507 0.013
Li1 0.202 0.895 0.791
Au1 0.577 0.667 0.334
Au2 0.352 0.785 0.570
Au3 0.022 0.998 0.996
Au4 0.395 0.366 0.731
Au5 0.678 0.186 0.373
O1 0.026 0.793 0.997
O2 0.026 0.204 0.997

Values from the calculation:
Energy relative to the lowest polymorph listed for this composition: 0.63 eV per formula unit

No. 19
A plane-wave DFT calculation with PBE was carried out for a relaxed Cs7LiAu5O2 crystal.

Lattice parameters (Å, degrees): 6.421 10.133 10.562 118.66 107.70 90.00
Fractional coordinates of all 15 atoms:
Cs1 0.831 0.616 0.664
Cs2 0.497 0.815 0.000
Cs3 0.831 0.049 0.664
Cs4 0.166 0.384 0.336
Cs5 0.166 0.951 0.336
Cs6 0.497 0.185 0.000
Cs7 0.039 0.500 0.000
Li1 0.548 0.500 0.000
Au1 0.644 0.640 0.280
Au2 0.312 0.811 0.621
Au3 0.998 0.000 0.000
Au4 0.364 0.360 0.720
Au5 0.690 0.189 0.379
O1 0.001 0.797 0.000
O2 0.001 0.203 0.000

Values from the calculation:
Energy relative to the lowest polymorph listed for this composition: 1.09 eV per formula unit

no.,formation energy from the elements (eV per atom),calculated density (g/cm3)
1,-2.0516,6.52
2,-2.4551,5.71
3,-2.2150,3.75
4,-2.3321,5.60
5,-2.6541,4.37
6,-2.0881,6.10
7,-2.3639,5.40
8,-3.0220,5.31
9,-2.8059,4.42
10,-0.3189,9.88
11,-0.9113,5.00
12,-0.9185,5.13
13,-0.9862,5.10
14,-1.2981,4.98
15,-0.9943,5.30
16,-0.6572,5.74
17,-0.6165,5.50
18,-0.6150,5.84
19,-0.5847,5.74